# NaCa2V3Co2O12

A relaxed NaCa2V3Co2O12 crystal (PBE+U, the Materials Project).

Values from the calculation:
E_form	-2.4786	eV per atom
volume	12.38	A^3/atom

abc: 10.8774 10.8774 10.8774
angles: 109.35 109.35 109.71
Closest atoms and distances in Å follow each position.
Element x y z (fractional)
O (0.2306, 0.5667, 0.7388)  1 V 1.74
O (0.4221, 0.2582, 0.2388)  1 V 1.74
O (0.7386, 0.3897, 0.4572)  1 V 1.76
O (0.1072, 0.9782, 0.4401)  1 V 1.77
O (0.7282, 0.3572, 0.9401)  1 V 1.77
O (0.0194, 0.1833, 0.7612)  1 V 1.74
O (0.5082, 0.7694, 0.3361)  1 V 1.74
O (0.8175, 0.8603, 0.8489)  1 V 1.76
O (0.3279, 0.0667, 0.3361)  1 V 1.74
O (0.8329, 0.9619, 0.4401)  1 V 1.77
O (0.0218, 0.4619, 0.1290)  1 V 1.77
O (0.1428, 0.7718, 0.0599)  1 V 1.77
O (0.9333, 0.2694, 0.2612)  1 V 1.74
O (0.2186, 0.5675, 0.4572)  1 V 1.76
O (0.2119, 0.2718, 0.6290)  1 V 1.77
O (0.5114, 0.3603, 0.0428)  1 V 1.76
O (0.4171, 0.7881, 0.0599)  1 V 1.77
O (0.6072, 0.1671, 0.1290)  1 V 1.77
O (0.8279, 0.4918, 0.2612)  1 V 1.74
O (0.0381, 0.4782, 0.8710)  1 V 1.77
O (0.2418, 0.0779, 0.7612)  1 V 1.74
O (0.3329, 0.8928, 0.8710)  1 V 1.77
O (0.0082, 0.6721, 0.7388)  1 V 1.74
O (0.0114, 0.9686, 0.1511)  1 V 1.76
O (0.8167, 0.5779, 0.8361)  1 V 1.74
O (0.4333, 0.1721, 0.6639)  1 V 1.74
O (0.5314, 0.4886, 0.8489)  1 V 1.76
O (0.1397, 0.9886, 0.9572)  1 V 1.76
O (0.3167, 0.4806, 0.2388)  1 V 1.74
O (0.5218, 0.3928, 0.5599)  1 V 1.77
O (0.2282, 0.2881, 0.3710)  1 V 1.77
O (0.7418, 0.9806, 0.1639)  1 V 1.74
O (0.9171, 0.8572, 0.6290)  1 V 1.77
O (0.6103, 0.0675, 0.3489)  1 V 1.76
O (0.6397, 0.6825, 0.1511)  1 V 1.76
O (0.7306, 0.9918, 0.6639)  1 V 1.74
O (0.0314, 0.1825, 0.0428)  1 V 1.76
O (0.5194, 0.7582, 0.8361)  1 V 1.74
O (0.5381, 0.6671, 0.5599)  1 V 1.77
O (0.7119, 0.0829, 0.9401)  1 V 1.77
O (0.3175, 0.4686, 0.9572)  1 V 1.76
O (0.6428, 0.5829, 0.3710)  1 V 1.77
O (0.9221, 0.6833, 0.1639)  1 V 1.74
O (0.2386, 0.7814, 0.3489)  1 V 1.76
O (0.9325, 0.2814, 0.5428)  1 V 1.76
O (0.4325, 0.8897, 0.6511)  1 V 1.76
O (0.1103, 0.7614, 0.5428)  1 V 1.76
O (0.7186, 0.2614, 0.6511)  1 V 1.76
V (0.0000, 0.0000, 0.0000)  4 O 1.76
V (0.8750, 0.9994, 0.6244)  4 O 1.74-1.77
V (0.0006, 0.6250, 0.8756)  4 O 1.74-1.77
V (0.7500, 0.2500, 0.5000)  4 O 1.76
V (0.7494, 0.1250, 0.1244)  4 O 1.74-1.77
V (0.5000, 0.5000, 0.0000)  4 O 1.76
V (0.5006, 0.6250, 0.3756)  4 O 1.74-1.77
V (0.8750, 0.4994, 0.1244)  4 O 1.74-1.77
V (0.2500, 0.7500, 0.5000)  4 O 1.76
V (0.2494, 0.1250, 0.6244)  4 O 1.74-1.77
V (0.3750, 0.2506, 0.3756)  4 O 1.74-1.77
V (0.3750, 0.7506, 0.8756)  4 O 1.74-1.77
Ca (0.9980, 0.1250, 0.3730)  8 O 2.43-2.55
Ca (0.3750, 0.5020, 0.6270)  8 O 2.43-2.55
Ca (0.3750, 0.0020, 0.1270)  8 O 2.43-2.55
Ca (0.8750, 0.2480, 0.8730)  8 O 2.43-2.55
Ca (0.2520, 0.6250, 0.1270)  8 O 2.43-2.55
Ca (0.8750, 0.7480, 0.3730)  8 O 2.43-2.55
Ca (0.4980, 0.1250, 0.8730)  8 O 2.43-2.55
Ca (0.7520, 0.6250, 0.6270)  8 O 2.43-2.55
Na (0.7500, 0.7500, 0.0000)  8 O 2.49-2.60
Na (0.5000, 0.0000, 0.5000)  8 O 2.49-2.60
Na (0.0000, 0.5000, 0.5000)  8 O 2.49-2.60
Na (0.2500, 0.2500, 0.0000)  8 O 2.49-2.60
Co (0.6250, 0.8750, 0.2500)  6 O 2.08-2.11
Co (0.6250, 0.8750, 0.7500)  6 O 2.08-2.11
Co (0.1250, 0.3750, 0.7500)  6 O 2.08-2.11
Co (0.1250, 0.8750, 0.7500)  6 O 2.08-2.11
Co (0.1250, 0.8750, 0.2500)  6 O 2.08-2.11
Co (0.6250, 0.3750, 0.2500)  6 O 2.08-2.11
Co (0.1250, 0.3750, 0.2500)  6 O 2.08-2.11
Co (0.6250, 0.3750, 0.7500)  6 O 2.08-2.11